1.
VASP calculation (meta-GGA r2SCAN) on a relaxed structure of Tm2MgS4.

The total moment comes out at 0.0 μB per formula unit. The calculated total energy is -0.63958 Ha/atom. Its energy of formation is -2183 meV per atom. Its space group is Fd-3m, No. 227.

Cell and atoms, written as POSCAR:
```
Tm2MgS4
1.0
2.648 -1.959 7.051
-4.923 -0.489 6.008
-1.766 -6.948 3.028
Tm Mg S
4 2 8
direct
0.625 0.125 0.625 Tm
0.625 0.625 0.125 Tm
0.125 0.625 0.625 Tm
0.625 0.625 0.625 Tm
0.000 0.000 0.000 Mg
0.250 0.250 0.250 Mg
0.380 0.380 0.380 S
0.859 0.380 0.380 S
0.380 0.859 0.380 S
0.380 0.380 0.859 S
0.870 0.870 0.391 S
0.870 0.391 0.870 S
0.391 0.870 0.870 S
0.870 0.870 0.870 S
```

---

2.
VASP calculation (meta-GGA r2SCAN) on a relaxed structure of Y2MgS4.

The total moment comes out at 0.0 μB per formula unit. The calculated total energy is -0.48324 Ha/atom. Its energy of formation is -2159 meV per atom. The offset from the most stable computed form is 9 kJ/mol of formula units. Its space group is Pnma, No. 62.

Cell and atoms, written as POSCAR:
```
Y2MgS4
1.0
-2.704 12.094 5.322
1.270 -2.893 7.219
6.293 1.610 -0.462
Y Mg S
8 4 16
direct
0.000 0.000 0.500 Y
0.500 0.000 0.000 Y
0.500 0.500 0.000 Y
0.000 0.500 0.500 Y
0.232 0.750 0.995 Y
0.768 0.250 0.005 Y
0.268 0.250 0.495 Y
0.732 0.750 0.505 Y
0.094 0.250 0.922 Mg
0.906 0.750 0.078 Mg
0.406 0.750 0.422 Mg
0.594 0.250 0.578 Mg
0.169 0.010 0.739 S
0.831 0.990 0.261 S
0.331 0.990 0.239 S
0.669 0.010 0.761 S
0.669 0.490 0.761 S
0.331 0.510 0.239 S
0.831 0.510 0.261 S
0.169 0.490 0.739 S
0.070 0.750 0.245 S
0.930 0.250 0.755 S
0.430 0.250 0.745 S
0.570 0.750 0.255 S
0.091 0.250 0.288 S
0.909 0.750 0.712 S
0.409 0.750 0.788 S
0.591 0.250 0.212 S
```

---

3.
VASP calculation (meta-GGA r2SCAN) on a relaxed structure of Y2MgS4.

The total moment comes out at 0.0 μB per formula unit. The calculated total energy is -0.48374 Ha/atom. Its energy of formation is -2173 meV per atom. The offset from the most stable computed form is 0 kJ/mol of formula units. Its space group is Fd-3m, No. 227.

Cell and atoms, written as POSCAR:
```
Y2MgS4
1.0
0.000 5.571 5.571
5.571 0.000 5.571
5.571 5.571 0.000
Y Mg S
4 2 8
direct
0.625 0.125 0.625 Y
0.625 0.625 0.125 Y
0.125 0.625 0.625 Y
0.625 0.625 0.625 Y
0.000 0.000 0.000 Mg
0.250 0.250 0.250 Mg
0.380 0.380 0.380 S
0.861 0.380 0.380 S
0.380 0.861 0.380 S
0.380 0.380 0.861 S
0.870 0.870 0.389 S
0.870 0.389 0.870 S
0.389 0.870 0.870 S
0.870 0.870 0.870 S
```

---

4.
VASP calculation (meta-GGA r2SCAN) on a relaxed structure of Y2MgS4.

The total moment comes out at 0.0 μB per formula unit. The calculated total energy is -0.48339 Ha/atom. Its energy of formation is -2163 meV per atom. The offset from the most stable computed form is 7 kJ/mol of formula units. Its space group is Cmc2_1, No. 36.

Cell and atoms, written as POSCAR:
```
Y2MgS4
1.0
1.892 -6.239 0.000
1.892 6.239 0.000
0.000 0.000 12.845
Y Mg S
4 2 8
direct
0.382 0.618 0.785 Y
0.618 0.382 0.285 Y
0.138 0.862 0.583 Y
0.862 0.138 0.083 Y
0.126 0.874 0.946 Mg
0.874 0.126 0.446 Mg
0.789 0.211 0.635 S
0.211 0.789 0.135 S
0.488 0.512 0.996 S
0.512 0.488 0.496 S
0.761 0.239 0.896 S
0.239 0.761 0.396 S
0.037 0.963 0.768 S
0.963 0.037 0.268 S
```